Compound: Rb6Ti2O7
Source: the Materials Project database
Functional: PBE
Structure: optimized geometry

Lattice parameters (Å, degrees): 9.930 9.930 9.962 90.00 90.00 120.00
Fractional coordinates of all 30 atoms:
Rb (0.333, 0.971, 0.374)
Rb (0.350, 0.963, 0.873)
Rb (0.029, 0.362, 0.374)
Rb (0.037, 0.387, 0.873)
Rb (0.362, 0.333, 0.626)
Rb (0.387, 0.350, 0.127)
Rb (0.613, 0.650, 0.873)
Rb (0.638, 0.667, 0.374)
Rb (0.963, 0.613, 0.127)
Rb (0.971, 0.638, 0.626)
Rb (0.650, 0.037, 0.127)
Rb (0.667, 0.029, 0.626)
Ti (0.333, 0.667, 0.180)
Ti (0.333, 0.667, 0.566)
Ti (0.667, 0.333, 0.820)
Ti (0.667, 0.333, 0.434)
O (0.176, 0.478, 0.622)
O (0.175, 0.479, 0.125)
O (0.303, 0.825, 0.125)
O (0.302, 0.824, 0.622)
O (0.333, 0.667, 0.373)
O (0.522, 0.698, 0.622)
O (0.521, 0.697, 0.125)
O (0.479, 0.303, 0.875)
O (0.478, 0.302, 0.378)
O (0.667, 0.333, 0.627)
O (0.698, 0.176, 0.378)
O (0.697, 0.175, 0.875)
O (0.825, 0.521, 0.875)
O (0.824, 0.522, 0.378)

* polymorph energy (0 for the lowest one): 31 meV per atom
* magnetization: 0.00 μB/atom


Compound: Rb4TiO4
Source: the Materials Project database
Functional: PBE
Structure: optimized geometry

Lattice parameters (Å, degrees): 6.918 11.129 11.241 67.84 90.00 90.00
Fractional coordinates of all 36 atoms:
Rb (0.683, 0.285, 0.084)
Rb (0.175, 0.393, 0.124)
Rb (0.385, 0.074, 0.344)
Rb (0.817, 0.785, 0.084)
Rb (0.325, 0.893, 0.124)
Rb (0.918, 0.204, 0.432)
Rb (0.115, 0.574, 0.344)
Rb (0.418, 0.296, 0.568)
Rb (0.582, 0.704, 0.432)
Rb (0.885, 0.426, 0.656)
Rb (0.082, 0.796, 0.568)
Rb (0.675, 0.107, 0.876)
Rb (0.183, 0.215, 0.916)
Rb (0.615, 0.926, 0.656)
Rb (0.825, 0.607, 0.876)
Rb (0.317, 0.715, 0.916)
Ti (0.624, 0.487, 0.260)
Ti (0.876, 0.987, 0.260)
Ti (0.124, 0.013, 0.740)
Ti (0.376, 0.513, 0.740)
O (0.034, 0.132, 0.188)
O (0.827, 0.500, 0.148)
O (0.488, 0.334, 0.289)
O (0.466, 0.632, 0.188)
O (0.673, 0.000, 0.148)
O (0.727, 0.478, 0.413)
O (0.227, 0.022, 0.587)
O (0.012, 0.834, 0.289)
O (0.988, 0.166, 0.711)
O (0.773, 0.978, 0.413)
O (0.273, 0.522, 0.587)
O (0.327, 0.000, 0.852)
O (0.534, 0.368, 0.812)
O (0.512, 0.666, 0.711)
O (0.173, 0.500, 0.852)
O (0.966, 0.868, 0.812)


Compound: Rb4TiO4
Source: the Materials Project database
Functional: PBE
Structure: optimized geometry

Lattice parameters (Å, degrees): 6.758 6.766 10.111 71.85 79.51 66.43
Fractional coordinates of all 18 atoms:
Rb (0.240, 0.763, 0.030)
Rb (0.275, 0.510, 0.439)
Rb (0.257, 0.404, 0.839)
Rb (0.217, 0.966, 0.620)
Rb (0.783, 0.034, 0.380)
Rb (0.743, 0.596, 0.161)
Rb (0.725, 0.490, 0.561)
Rb (0.760, 0.237, 0.970)
Ti (0.272, 0.158, 0.248)
Ti (0.728, 0.842, 0.752)
O (0.138, 0.160, 0.103)
O (0.053, 0.294, 0.367)
O (0.448, 0.325, 0.191)
O (0.565, 0.129, 0.655)
O (0.435, 0.871, 0.345)
O (0.552, 0.675, 0.809)
O (0.947, 0.706, 0.633)
O (0.862, 0.840, 0.897)


Compound: Rb6Ti2O7
Source: the Materials Project database
Functional: PBE
Structure: optimized geometry

Lattice parameters (Å, degrees): 9.756 6.915 11.817 56.66 90.00 90.00
Fractional coordinates of all 30 atoms:
Rb (0.784, 0.605, 0.278)
Rb (0.649, 0.966, 0.919)
Rb (0.526, 0.206, 0.546)
Rb (0.026, 0.794, 0.954)
Rb (0.284, 0.395, 0.222)
Rb (0.149, 0.034, 0.581)
Rb (0.851, 0.966, 0.419)
Rb (0.716, 0.605, 0.778)
Rb (0.974, 0.206, 0.046)
Rb (0.474, 0.794, 0.454)
Rb (0.351, 0.034, 0.081)
Rb (0.216, 0.395, 0.722)
Ti (0.862, 0.321, 0.629)
Ti (0.362, 0.679, 0.871)
Ti (0.638, 0.321, 0.129)
Ti (0.138, 0.679, 0.371)
O (0.000, 0.500, 0.500)
O (0.090, 0.748, 0.204)
O (0.291, 0.498, 0.428)
O (0.334, 0.944, 0.868)
O (0.834, 0.056, 0.632)
O (0.791, 0.502, 0.072)
O (0.590, 0.252, 0.296)
O (0.500, 0.500, 0.000)
O (0.410, 0.748, 0.704)
O (0.209, 0.498, 0.928)
O (0.166, 0.944, 0.368)
O (0.666, 0.056, 0.132)
O (0.709, 0.502, 0.572)
O (0.910, 0.252, 0.796)

* polymorph energy (0 for the lowest one): 0 meV per atom


Compound: RbTl3O5
Source: the Materials Project database
Functional: PBE
Structure: optimized geometry

Lattice parameters (Å, degrees): 3.492 9.987 17.775 90.00 90.00 90.00
Fractional coordinates of all 36 atoms:
Rb (0.750, 0.501, 0.382)
Rb (0.250, 0.499, 0.618)
Rb (0.250, 0.999, 0.882)
Rb (0.750, 0.001, 0.118)
Tl (0.750, 0.843, 0.304)
Tl (0.250, 0.157, 0.696)
Tl (0.250, 0.657, 0.804)
Tl (0.750, 0.343, 0.196)
Tl (0.750, 0.654, 0.978)
Tl (0.250, 0.346, 0.022)
Tl (0.250, 0.846, 0.478)
Tl (0.750, 0.154, 0.522)
Tl (0.750, 0.860, 0.647)
Tl (0.250, 0.140, 0.353)
Tl (0.250, 0.640, 0.147)
Tl (0.750, 0.360, 0.853)
O (0.750, 0.997, 0.424)
O (0.250, 0.003, 0.576)
O (0.250, 0.503, 0.924)
O (0.750, 0.497, 0.076)
O (0.750, 0.742, 0.536)
O (0.250, 0.258, 0.464)
O (0.250, 0.758, 0.036)
O (0.750, 0.242, 0.964)
O (0.750, 0.753, 0.190)
O (0.250, 0.247, 0.810)
O (0.250, 0.747, 0.690)
O (0.750, 0.253, 0.310)
O (0.750, 0.762, 0.868)
O (0.250, 0.238, 0.132)
O (0.250, 0.738, 0.368)
O (0.750, 0.262, 0.632)
O (0.750, 0.523, 0.769)
O (0.250, 0.477, 0.231)
O (0.250, 0.977, 0.269)
O (0.750, 0.023, 0.731)


Compound: Rb3TlO3
Source: the Materials Project database
Functional: PBE
Structure: optimized geometry

Lattice parameters (Å, degrees): 7.280 7.944 11.735 85.97 90.00 90.00
Fractional coordinates of all 28 atoms:
Rb (0.868, 0.937, 0.656)
Rb (0.632, 0.937, 0.156)
Rb (0.177, 0.355, 0.577)
Rb (0.301, 0.631, 0.310)
Rb (0.801, 0.369, 0.190)
Rb (0.699, 0.369, 0.690)
Rb (0.199, 0.631, 0.810)
Rb (0.323, 0.355, 0.077)
Rb (0.823, 0.645, 0.423)
Rb (0.677, 0.645, 0.923)
Rb (0.368, 0.063, 0.844)
Rb (0.132, 0.063, 0.344)
Tl (0.407, 0.834, 0.569)
Tl (0.593, 0.166, 0.431)
Tl (0.093, 0.834, 0.069)
Tl (0.907, 0.166, 0.931)
O (0.934, 0.689, 0.196)
O (0.961, 0.892, 0.895)
O (0.461, 0.108, 0.605)
O (0.365, 0.741, 0.037)
O (0.865, 0.259, 0.463)
O (0.635, 0.259, 0.963)
O (0.135, 0.741, 0.537)
O (0.566, 0.689, 0.696)
O (0.039, 0.108, 0.105)
O (0.066, 0.311, 0.804)
O (0.434, 0.311, 0.304)
O (0.539, 0.892, 0.395)


Compound: Rb5Tl3O
Source: the Materials Project database
Functional: PBE
Structure: optimized geometry

Lattice parameters (Å, degrees): 17.854 17.854 9.439 90.00 90.00 151.15
Fractional coordinates of all 36 atoms:
Rb (0.448, 0.552, 0.534)
Rb (0.042, 0.508, 0.250)
Rb (0.448, 0.552, 0.966)
Rb (0.121, 0.372, 0.250)
Rb (0.958, 0.492, 0.750)
Rb (0.552, 0.448, 0.466)
Rb (0.208, 0.194, 0.750)
Rb (0.372, 0.121, 0.750)
Rb (0.194, 0.208, 0.250)
Rb (0.552, 0.448, 0.034)
Rb (0.320, 0.680, 0.534)
Rb (0.680, 0.320, 0.466)
Rb (0.628, 0.879, 0.250)
Rb (0.680, 0.320, 0.034)
Rb (0.508, 0.042, 0.750)
Rb (0.879, 0.628, 0.750)
Rb (0.806, 0.792, 0.750)
Rb (0.320, 0.680, 0.966)
Rb (0.792, 0.806, 0.250)
Rb (0.492, 0.958, 0.250)
Tl (0.077, 0.332, 0.750)
Tl (0.816, 0.184, 0.563)
Tl (0.923, 0.668, 0.250)
Tl (0.078, 0.922, 0.451)
Tl (0.332, 0.077, 0.250)
Tl (0.184, 0.816, 0.063)
Tl (0.184, 0.816, 0.437)
Tl (0.922, 0.078, 0.951)
Tl (0.078, 0.922, 0.049)
Tl (0.922, 0.078, 0.549)
Tl (0.816, 0.184, 0.937)
Tl (0.668, 0.923, 0.750)
O (0.674, 0.326, 0.750)
O (0.486, 0.514, 0.250)
O (0.326, 0.674, 0.250)
O (0.514, 0.486, 0.750)

* magnetization: 0.00 μB/atom


Compound: RbTmO2
Source: the Materials Project database
Functional: PBE
Structure: optimized geometry

Lattice parameters (Å, degrees): 3.451 3.451 6.835 75.38 75.38 60.00
Fractional coordinates of all 4 atoms:
Rb (0.000, 0.000, 0.000)
Tm (0.500, 0.500, 0.500)
O (0.776, 0.776, 0.673)
O (0.224, 0.224, 0.327)


Compound: Rb3TmO3
Source: the Materials Project database
Functional: PBE
Structure: optimized geometry

Lattice parameters (Å, degrees): 7.324 7.324 7.240 85.17 85.17 116.65
Fractional coordinates of all 14 atoms:
Rb (0.636, 0.636, 0.644)
Rb (0.206, 0.794, 0.500)
Rb (0.794, 0.206, 0.500)
Rb (0.739, 0.261, 0.000)
Rb (0.261, 0.739, 0.000)
Rb (0.364, 0.364, 0.356)
Tm (0.825, 0.825, 0.148)
Tm (0.175, 0.175, 0.852)
O (0.897, 0.897, 0.846)
O (0.834, 0.559, 0.267)
O (0.559, 0.834, 0.267)
O (0.166, 0.441, 0.733)
O (0.441, 0.166, 0.733)
O (0.103, 0.103, 0.154)

* polymorph energy (0 for the lowest one): 9 meV per atom


Compound: Rb3TmO3
Source: the Materials Project database
Functional: PBE
Structure: optimized geometry

Lattice parameters (Å, degrees): 7.361 7.962 11.713 85.75 90.00 90.00
Fractional coordinates of all 28 atoms:
Rb (0.331, 0.358, 0.079)
Rb (0.621, 0.933, 0.155)
Rb (0.804, 0.375, 0.192)
Rb (0.304, 0.625, 0.308)
Rb (0.121, 0.067, 0.345)
Rb (0.831, 0.642, 0.421)
Rb (0.169, 0.358, 0.579)
Rb (0.879, 0.933, 0.655)
Rb (0.696, 0.375, 0.692)
Rb (0.196, 0.625, 0.808)
Rb (0.379, 0.067, 0.845)
Rb (0.669, 0.642, 0.921)
Tm (0.088, 0.840, 0.067)
Tm (0.588, 0.160, 0.433)
Tm (0.412, 0.840, 0.567)
Tm (0.912, 0.160, 0.933)
O (0.352, 0.748, 0.043)
O (0.051, 0.105, 0.095)
O (0.941, 0.691, 0.188)
O (0.441, 0.309, 0.312)
O (0.551, 0.895, 0.405)
O (0.852, 0.252, 0.457)
O (0.148, 0.748, 0.543)
O (0.449, 0.105, 0.595)
O (0.559, 0.691, 0.688)
O (0.059, 0.309, 0.812)
O (0.949, 0.895, 0.905)
O (0.648, 0.252, 0.957)

* polymorph energy (0 for the lowest one): 0 meV per atom


Compound: Rb4U5O17
Source: the Materials Project database
Functional: PBE
Structure: optimized geometry

Lattice parameters (Å, degrees): 7.095 14.584 18.866 90.00 90.00 90.00
Fractional coordinates of all 104 atoms:
Rb (0.768, 0.527, 0.055)
Rb (0.204, 0.060, 0.310)
Rb (0.704, 0.440, 0.810)
Rb (0.768, 0.973, 0.945)
Rb (0.268, 0.527, 0.445)
Rb (0.796, 0.940, 0.690)
Rb (0.296, 0.560, 0.190)
Rb (0.704, 0.060, 0.190)
Rb (0.296, 0.940, 0.810)
Rb (0.796, 0.560, 0.310)
Rb (0.732, 0.027, 0.445)
Rb (0.732, 0.473, 0.555)
Rb (0.232, 0.027, 0.055)
Rb (0.232, 0.473, 0.945)
Rb (0.204, 0.440, 0.690)
Rb (0.268, 0.973, 0.555)
U (0.026, 0.818, 0.189)
U (0.075, 0.706, 0.603)
U (0.625, 0.750, 0.500)
U (0.526, 0.682, 0.689)
U (0.925, 0.206, 0.603)
U (0.026, 0.682, 0.811)
U (0.425, 0.294, 0.103)
U (0.974, 0.182, 0.811)
U (0.425, 0.206, 0.897)
U (0.575, 0.706, 0.897)
U (0.575, 0.794, 0.103)
U (0.375, 0.250, 0.500)
U (0.125, 0.750, 0.000)
U (0.474, 0.318, 0.311)
U (0.526, 0.818, 0.311)
U (0.875, 0.250, 0.000)
U (0.474, 0.182, 0.689)
U (0.974, 0.318, 0.189)
U (0.075, 0.794, 0.397)
U (0.925, 0.294, 0.397)
O (0.296, 0.334, 0.210)
O (0.570, 0.918, 0.078)
O (0.995, 0.306, 0.790)
O (0.495, 0.306, 0.710)
O (0.125, 0.630, 0.032)
O (0.610, 0.291, 0.420)
O (0.375, 0.130, 0.468)
O (0.457, 0.445, 0.324)
O (0.390, 0.709, 0.580)
O (0.585, 0.671, 0.129)
O (0.261, 0.796, 0.116)
O (0.430, 0.418, 0.078)
O (0.543, 0.945, 0.324)
O (0.890, 0.709, 0.920)
O (0.040, 0.250, 0.500)
O (0.915, 0.329, 0.629)
O (0.957, 0.055, 0.824)
O (0.204, 0.834, 0.290)
O (0.390, 0.791, 0.420)
O (0.610, 0.209, 0.580)
O (0.875, 0.370, 0.968)
O (0.375, 0.370, 0.532)
O (0.070, 0.582, 0.578)
O (0.540, 0.250, 0.000)
O (0.761, 0.704, 0.616)
O (0.110, 0.291, 0.080)
O (0.239, 0.204, 0.616)
O (0.204, 0.666, 0.710)
O (0.495, 0.194, 0.290)
O (0.570, 0.582, 0.922)
O (0.543, 0.555, 0.676)
O (0.239, 0.296, 0.384)
O (0.796, 0.166, 0.710)
O (0.930, 0.082, 0.578)
O (0.957, 0.445, 0.176)
O (0.085, 0.671, 0.371)
O (0.261, 0.704, 0.884)
O (0.005, 0.806, 0.790)
O (0.915, 0.171, 0.371)
O (0.043, 0.945, 0.176)
O (0.761, 0.796, 0.384)
O (0.995, 0.194, 0.210)
O (0.890, 0.791, 0.080)
O (0.085, 0.829, 0.629)
O (0.415, 0.171, 0.129)
O (0.930, 0.418, 0.422)
O (0.296, 0.166, 0.790)
O (0.110, 0.209, 0.920)
O (0.125, 0.870, 0.968)
O (0.005, 0.694, 0.210)
O (0.505, 0.694, 0.290)
O (0.415, 0.329, 0.871)
O (0.739, 0.204, 0.884)
O (0.625, 0.630, 0.468)
O (0.585, 0.829, 0.871)
O (0.505, 0.806, 0.710)
O (0.070, 0.918, 0.422)
O (0.875, 0.130, 0.032)
O (0.625, 0.870, 0.532)
O (0.960, 0.750, 0.500)
O (0.796, 0.334, 0.290)
O (0.457, 0.055, 0.676)
O (0.704, 0.834, 0.210)
O (0.739, 0.296, 0.116)
O (0.430, 0.082, 0.922)
O (0.704, 0.666, 0.790)
O (0.460, 0.750, 0.000)
O (0.043, 0.555, 0.824)

* magnetization: 0.00 μB/atom


| no. | total energy after the MP2020 corrections (eV per cell) |
| --- | --- |
| 1 | -186.95 |
| 2 | -209.96 |
| 3 | -104.97 |
| 4 | -187.90 |
| 5 | -174.59 |
| 6 | -119.07 |
| 7 | -84.24 |
| 8 | -27.71 |
| 9 | -75.88 |
| 10 | -152.02 |
| 11 | -926.08 |